Compound: TiNbBiO6
Source: the Materials Project database
Functional: PBE-GGA
Structure: relaxed

a = 5.373 Å, b = 6.996 Å, c = 7.659 Å
α = 67.81°, β = 69.69°, γ = 81.72°
Positions (direct):
Ti 0.000 0.000 0.000
Ti 0.485 0.990 0.517
Nb 0.405 0.225 0.075
Nb 0.909 0.237 0.560
Bi 0.475 0.639 0.280
Bi 0.939 0.623 0.785
O 0.044 0.502 0.470
O 0.124 0.298 0.967
O 0.184 0.060 0.719
O 0.213 0.154 0.363
O 0.269 0.923 0.108
O 0.355 0.732 0.594
O 0.493 0.486 0.056
O 0.635 0.299 0.444
O 0.672 0.009 0.227
O 0.724 0.214 0.845
O 0.756 0.929 0.629
O 0.894 0.746 0.022

## Properties
Its space group is P1, No. 1. Its total energy is -8.12 eV per atom.